Below is crystalline PH9PtC3Cl2 at its relaxed geometry, with properties calculated at the GGA-PBE level.

Energy of formation from the pure elements   -0.40 eV/atom
DFT total energy   -4.910 eV per atom
MP2020-corrected energy   -4.99 eV/atom
Space group   P2_1/c (14)
Size of the total moment   0.00 μB per formula unit

Unit cell a=10.997 b=6.749 c=12.015 alpha=72.41 beta=90.00 gamma=90.00
Sites, in units of the cell vectors:
H: 0.845 0.650 0.891
H: 0.136 0.213 0.509
H: 0.034 0.030 0.602
H: 0.381 0.541 0.077
H: 0.626 0.886 0.276
H: 0.655 0.650 0.391
H: 0.104 0.542 0.726
H: 0.014 0.569 0.340
H: 0.126 0.114 0.224
H: 0.308 0.966 0.095
H: 0.374 0.114 0.724
H: 0.396 0.542 0.226
H: 0.881 0.459 0.423
H: 0.654 0.649 0.242
H: 0.966 0.970 0.398
H: 0.514 0.431 0.160
H: 0.896 0.458 0.274
H: 0.808 0.034 0.405
H: 0.619 0.459 0.923
H: 0.864 0.787 0.491
H: 0.155 0.350 0.109
H: 0.846 0.649 0.742
H: 0.604 0.458 0.774
H: 0.345 0.350 0.609
H: 0.986 0.431 0.660
H: 0.486 0.569 0.840
H: 0.119 0.541 0.577
H: 0.346 0.351 0.758
H: 0.466 0.030 0.102
H: 0.192 0.966 0.595
H: 0.692 0.034 0.905
H: 0.874 0.886 0.776
H: 0.636 0.787 0.991
H: 0.364 0.213 0.009
H: 0.534 0.970 0.898
H: 0.154 0.351 0.258
P: 0.840 0.798 0.290
P: 0.160 0.202 0.710
P: 0.660 0.798 0.790
P: 0.340 0.202 0.210
Pt: 0.895 0.003 0.115
Pt: 0.105 0.997 0.885
Pt: 0.395 0.997 0.385
Pt: 0.605 0.003 0.615
C: 0.373 0.091 0.093
C: 0.322 0.260 0.699
C: 0.873 0.909 0.407
C: 0.822 0.740 0.801
C: 0.127 0.091 0.593
C: 0.085 0.454 0.664
C: 0.415 0.454 0.164
C: 0.585 0.546 0.836
C: 0.678 0.740 0.301
C: 0.178 0.260 0.199
C: 0.627 0.909 0.907
C: 0.915 0.546 0.336
Cl: 0.462 0.775 0.579
Cl: 0.244 0.750 0.869
Cl: 0.038 0.775 0.079
Cl: 0.256 0.750 0.369
Cl: 0.756 0.250 0.131
Cl: 0.962 0.225 0.921
Cl: 0.744 0.250 0.631
Cl: 0.538 0.225 0.421